This record from Materials Project describes a relaxed Na30Ca4Nb20Si33S3O144 crystal. The functional is GGA-PBE.

For the formation energy, the calculation gives -2912 meV per atom.

Unit cell a=9.118 b=15.800 c=22.761 alpha=89.80 beta=89.94 gamma=89.97
Space group P1 (No. 1)
Symmetry-distinct sites (fractional):
Na (0.000, 0.000, 0.000)
Na (0.001, 0.304, 0.332)
Na (0.020, 0.970, 0.668)
Na (0.113, 0.465, 0.170)
Na (0.115, 0.132, 0.504)
Na (0.131, 0.808, 0.831)
Na (0.148, 0.162, 0.831)
Na (0.308, 0.975, 0.588)
Na (0.313, 0.320, 0.753)
Na (0.314, 0.641, 0.917)
Na (0.323, 0.311, 0.253)
Na (0.324, 0.982, 0.083)
Na (0.326, 0.644, 0.418)
Na (0.449, 0.145, 0.675)
Na (0.519, 0.466, 0.672)
Na (0.635, 0.309, 0.832)
Na (0.641, 0.005, 0.500)
Na (0.644, 0.335, 0.172)
Na (0.651, 0.660, 0.831)
Na (0.695, 0.311, 0.504)
Na (0.700, 0.648, 0.170)
Na (0.806, 0.149, 0.919)
Na (0.807, 0.815, 0.749)
Na (0.810, 0.820, 0.247)
Na (0.811, 0.151, 0.420)
Na (0.813, 0.491, 0.586)
Na (0.829, 0.482, 0.080)
Na (0.948, 0.984, 0.332)
Na (0.982, 0.334, 0.670)
Na (0.987, 0.662, 0.330)
Ca (0.316, 0.977, 0.735)
Ca (0.818, 0.489, 0.734)
Ca (0.820, 0.150, 0.561)
Ca (0.820, 0.482, 0.234)
Nb (0.311, 0.308, 0.099)
Nb (0.312, 0.657, 0.056)
Nb (0.314, 0.980, 0.437)
Nb (0.315, 0.657, 0.274)
Nb (0.316, 0.319, 0.900)
Nb (0.316, 0.984, 0.226)
Nb (0.317, 0.311, 0.600)
Nb (0.320, 0.657, 0.773)
Nb (0.321, 0.656, 0.557)
Nb (0.323, 0.983, 0.935)
Nb (0.324, 0.320, 0.396)
Nb (0.809, 0.815, 0.396)
Nb (0.812, 0.150, 0.062)
Nb (0.814, 0.151, 0.271)
Nb (0.815, 0.816, 0.900)
Nb (0.817, 0.485, 0.938)
Nb (0.818, 0.486, 0.435)
Nb (0.818, 0.820, 0.105)
Nb (0.821, 0.157, 0.772)
Nb (0.822, 0.807, 0.602)
Si (0.016, 0.982, 0.833)
Si (0.028, 0.321, 0.496)
Si (0.031, 0.653, 0.164)
Si (0.105, 0.819, 0.999)
Si (0.115, 0.483, 0.331)
Si (0.117, 0.151, 0.663)
Si (0.168, 0.167, 0.997)
Si (0.168, 0.793, 0.663)
Si (0.170, 0.462, 0.002)
Si (0.170, 0.841, 0.332)
Si (0.176, 0.128, 0.332)
Si (0.457, 0.167, 0.496)
Si (0.460, 0.794, 0.165)
Si (0.462, 0.462, 0.500)
Si (0.466, 0.132, 0.832)
Si (0.471, 0.838, 0.834)
Si (0.520, 0.483, 0.832)
Si (0.527, 0.150, 0.166)
Si (0.530, 0.818, 0.501)
Si (0.602, 0.983, 0.332)
Si (0.603, 0.653, 0.664)
Si (0.609, 0.318, 0.001)
Si (0.665, 0.299, 0.663)
Si (0.667, 0.630, 0.331)
Si (0.668, 0.961, 0.001)
Si (0.670, 0.336, 0.331)
Si (0.676, 0.671, 0.003)
Si (0.960, 0.006, 0.166)
Si (0.962, 0.670, 0.496)
Si (0.965, 0.631, 0.834)
Si (0.965, 0.956, 0.498)
Si (0.967, 0.292, 0.164)
Si (0.971, 0.340, 0.831)
S (0.180, 0.507, 0.663)
S (0.453, 0.507, 0.164)
S (0.677, 0.001, 0.666)
O (0.006, 0.804, 0.942)
O (0.022, 0.493, 0.665)
O (0.026, 0.134, 0.605)
O (0.039, 0.457, 0.271)
O (0.096, 0.954, 0.773)
O (0.131, 0.000, 0.889)
O (0.135, 0.330, 0.556)
O (0.137, 0.660, 0.224)
O (0.139, 0.659, 0.506)
O (0.139, 0.996, 0.174)
O (0.140, 0.311, 0.441)
O (0.142, 0.315, 0.845)
O (0.145, 0.642, 0.828)
O (0.145, 0.965, 0.492)
O (0.148, 0.303, 0.159)
O (0.150, 0.644, 0.110)
O (0.202, 0.902, 0.276)
O (0.203, 0.246, 0.663)
O (0.203, 0.905, 0.993)
O (0.204, 0.227, 0.941)
O (0.205, 0.066, 0.390)
O (0.206, 0.736, 0.725)
O (0.208, 0.401, 0.060)
O (0.211, 0.572, 0.327)
O (0.211, 0.734, 0.005)
O (0.216, 0.556, 0.610)
O (0.220, 0.401, 0.345)
O (0.228, 0.734, 0.609)
O (0.232, 0.886, 0.659)
O (0.233, 0.075, 0.669)
O (0.237, 0.225, 0.338)
O (0.240, 0.548, 0.718)
O (0.242, 0.073, 0.993)
O (0.242, 0.745, 0.326)
O (0.244, 0.217, 0.055)
O (0.245, 0.412, 0.946)
O (0.246, 0.885, 0.390)
O (0.247, 0.078, 0.276)
O (0.249, 0.555, 0.009)
O (0.257, 0.422, 0.661)
O (0.370, 0.077, 0.494)
O (0.383, 0.421, 0.161)
O (0.383, 0.885, 0.889)
O (0.384, 0.106, 0.773)
O (0.384, 0.215, 0.557)
O (0.385, 0.742, 0.830)
O (0.385, 0.887, 0.173)
O (0.387, 0.555, 0.508)
O (0.391, 0.414, 0.444)
O (0.392, 0.546, 0.218)
O (0.392, 0.745, 0.108)
O (0.403, 0.228, 0.847)
O (0.410, 0.232, 0.445)
O (0.413, 0.401, 0.848)
O (0.421, 0.558, 0.112)
O (0.422, 0.067, 0.172)
O (0.422, 0.571, 0.826)
O (0.424, 0.066, 0.887)
O (0.424, 0.735, 0.505)
O (0.427, 0.731, 0.222)
O (0.431, 0.400, 0.559)
O (0.434, 0.239, 0.159)
O (0.434, 0.905, 0.493)
O (0.462, 0.886, 0.774)
O (0.480, 0.303, 0.663)
O (0.484, 0.647, 0.609)
O (0.487, 0.639, 0.327)
O (0.491, 0.970, 0.992)
O (0.493, 0.970, 0.276)
O (0.496, 0.660, 0.010)
O (0.496, 0.662, 0.724)
O (0.497, 0.319, 0.346)
O (0.499, 0.328, 0.059)
O (0.501, 0.995, 0.392)
O (0.502, 0.304, 0.944)
O (0.519, 0.991, 0.673)
O (0.597, 0.454, 0.772)
O (0.614, 0.497, 0.167)
O (0.630, 0.156, 0.495)
O (0.634, 0.137, 0.108)
O (0.636, 0.805, 0.443)
O (0.637, 0.500, 0.887)
O (0.639, 0.166, 0.222)
O (0.640, 0.798, 0.161)
O (0.640, 0.833, 0.556)
O (0.641, 0.465, 0.492)
O (0.642, 0.813, 0.846)
O (0.647, 0.142, 0.828)
O (0.676, 0.381, 0.269)
O (0.697, 0.569, 0.661)
O (0.699, 0.742, 0.658)
O (0.702, 0.046, 0.611)
O (0.703, 0.235, 0.723)
O (0.704, 0.729, 0.944)
O (0.705, 0.901, 0.058)
O (0.707, 0.566, 0.387)
O (0.710, 0.232, 0.008)
O (0.710, 0.402, 0.993)
O (0.712, 0.065, 0.325)
O (0.714, 0.901, 0.339)
O (0.723, 0.256, 0.604)
O (0.738, 0.391, 0.668)
O (0.740, 0.723, 0.346)
O (0.743, 0.047, 0.717)
O (0.746, 0.719, 0.060)
O (0.748, 0.913, 0.946)
O (0.749, 0.577, 0.993)
O (0.749, 0.607, 0.270)
O (0.751, 0.385, 0.387)
O (0.752, 0.052, 0.006)
O (0.757, 0.917, 0.665)
O (0.758, 0.242, 0.329)
O (0.872, 0.607, 0.778)
O (0.882, 0.387, 0.886)
O (0.882, 0.578, 0.491)
O (0.883, 0.912, 0.159)
O (0.886, 0.243, 0.828)
O (0.886, 0.717, 0.554)
O (0.888, 0.383, 0.161)
O (0.889, 0.047, 0.494)
O (0.889, 0.052, 0.225)
O (0.898, 0.236, 0.110)
O (0.898, 0.904, 0.442)
O (0.904, 0.728, 0.849)
O (0.911, 0.901, 0.848)
O (0.922, 0.072, 0.826)
O (0.924, 0.406, 0.492)
O (0.926, 0.062, 0.106)
O (0.928, 0.238, 0.494)
O (0.928, 0.570, 0.161)
O (0.928, 0.899, 0.558)
O (0.929, 0.567, 0.890)
O (0.929, 0.739, 0.160)
O (0.931, 0.236, 0.225)
O (0.932, 0.729, 0.438)
O (0.962, 0.382, 0.768)
O (0.985, 0.799, 0.660)
O (0.991, 0.156, 0.004)
O (0.992, 0.829, 0.337)
O (0.993, 0.469, 0.993)
O (0.994, 0.832, 0.055)
O (0.995, 0.133, 0.326)
O (0.995, 0.501, 0.385)
O (0.998, 0.163, 0.722)